No. 1
Material: K2OsNCl5
Method: DFT, PBE
State: relaxed

a b c (Å): 9.448 9.448 8.113
angles (deg): 90.00 90.00 119.18
Sites, in units of the cell vectors:
1 K 0.329 0.671 0.104
2 K 0.933 0.067 0.447
3 K 0.671 0.329 0.604
4 K 0.067 0.933 0.947
5 Os 0.174 0.826 0.486
6 Os 0.826 0.174 0.986
7 N 0.870 0.130 0.800
8 N 0.130 0.870 0.300
9 Cl 0.769 0.231 0.281
10 Cl 0.261 0.096 0.595
11 Cl 0.445 0.895 0.438
12 Cl 0.895 0.445 0.938
13 Cl 0.904 0.739 0.595
14 Cl 0.231 0.769 0.781
15 Cl 0.105 0.555 0.438
16 Cl 0.739 0.904 0.095
17 Cl 0.555 0.105 0.938
18 Cl 0.096 0.261 0.095

Properties
- calculated volume (A^3/atom) = 35.125
- space group = No. 36
- distance to the lowest polymorph of the same formula (meV per atom) = 68
- total moment (μB/f.u.) = 0.0
- ΔH_f (0 K) (eV per atom) = -1.27

---

No. 2
Material: NdP5O14
Method: DFT, PBE
State: relaxed

a b c (Å): 9.177 8.914 13.181
angles (deg): 89.70 90.00 90.00
Sites, in units of the cell vectors:
1 Nd 0.312 0.724 0.999
2 Nd 0.812 0.276 0.501
3 Nd 0.688 0.276 0.001
4 Nd 0.188 0.724 0.499
5 P 0.997 0.505 0.297
6 P 0.497 0.495 0.203
7 P 0.003 0.495 0.703
8 P 0.503 0.505 0.797
9 P 0.951 0.768 0.164
10 P 0.451 0.232 0.336
11 P 0.049 0.232 0.836
12 P 0.549 0.768 0.664
13 P 0.747 0.685 0.000
14 P 0.247 0.315 0.500
15 P 0.253 0.315 0.000
16 P 0.753 0.685 0.500
17 P 0.953 0.757 0.836
18 P 0.453 0.243 0.664
19 P 0.047 0.243 0.164
20 P 0.547 0.757 0.336
21 P 0.002 0.996 0.675
22 P 0.502 0.004 0.825
23 P 0.998 0.004 0.325
24 P 0.498 0.996 0.175
25 O 0.885 0.415 0.351
26 O 0.385 0.585 0.149
27 O 0.115 0.585 0.649
28 O 0.615 0.415 0.851
29 O 0.115 0.588 0.350
30 O 0.615 0.412 0.150
31 O 0.885 0.412 0.650
32 O 0.385 0.588 0.850
33 O 0.908 0.620 0.224
34 O 0.408 0.380 0.276
35 O 0.092 0.380 0.776
36 O 0.592 0.620 0.724
37 O 0.095 0.769 0.114
38 O 0.595 0.231 0.386
39 O 0.905 0.231 0.886
40 O 0.405 0.769 0.614
41 O 0.816 0.788 0.091
42 O 0.316 0.212 0.409
43 O 0.184 0.212 0.909
44 O 0.587 0.714 0.000
45 O 0.684 0.788 0.591
46 O 0.310 0.469 0.497
47 O 0.190 0.469 0.997
48 O 0.690 0.531 0.503
49 O 0.615 0.082 0.123
50 O 0.115 0.918 0.377
51 O 0.385 0.918 0.877
52 O 0.885 0.082 0.623
53 O 0.380 0.920 0.118
54 O 0.880 0.080 0.382
55 O 0.620 0.080 0.882
56 O 0.120 0.920 0.618
57 O 0.580 0.874 0.249
58 O 0.080 0.126 0.251
59 O 0.420 0.126 0.751
60 O 0.920 0.874 0.749
61 O 0.419 0.100 0.261
62 O 0.919 0.900 0.239
63 O 0.581 0.900 0.739
64 O 0.081 0.100 0.761
65 O 0.406 0.775 0.389
66 O 0.906 0.225 0.111
67 O 0.594 0.225 0.611
68 O 0.094 0.775 0.889
69 O 0.687 0.779 0.403
70 O 0.187 0.221 0.097
71 O 0.313 0.221 0.597
72 O 0.813 0.779 0.903
73 O 0.423 0.401 0.713
74 O 0.923 0.599 0.787
75 O 0.577 0.599 0.287
76 O 0.077 0.401 0.213
77 O 0.913 0.714 0.500
78 O 0.413 0.286 0.000
79 O 0.087 0.286 0.500
80 O 0.810 0.531 0.003

Properties
- calculated volume (A^3/atom) = 13.479
- space group = No. 14
- total moment (μB/f.u.) = 0.0
- ΔH_f (0 K) (eV per atom) = -2.82

---

No. 3
Material: EuSnRh2
Method: DFT, PBE
State: relaxed

a b c (Å): 4.738 4.738 4.738
angles (deg): 60.00 60.00 60.00
Sites, in units of the cell vectors:
1 Eu 0.500 0.500 0.500
2 Sn 0.000 0.000 0.000
3 Rh 0.250 0.250 0.250
4 Rh 0.750 0.750 0.750

Properties
- calculated volume (A^3/atom) = 18.802
- space group = No. 225
- ΔH_f (0 K) (eV per atom) = -0.48

---

No. 4
Material: B8H4PbO15
Method: DFT, PBE
State: relaxed

a b c (Å): 8.105 14.352 12.854
angles (deg): 90.00 128.73 90.00
Sites, in units of the cell vectors:
1 B 0.885 0.540 0.125
2 B 0.885 0.960 0.625
3 B 0.115 0.460 0.875
4 B 0.115 0.040 0.375
5 B 0.692 0.682 0.990
6 B 0.692 0.818 0.490
7 B 0.308 0.318 0.010
8 B 0.308 0.182 0.510
9 B 0.957 0.688 0.252
10 B 0.957 0.812 0.752
11 B 0.043 0.312 0.748
12 B 0.043 0.188 0.248
13 B 0.331 0.750 0.887
14 B 0.331 0.750 0.387
15 B 0.669 0.250 0.113
16 B 0.669 0.250 0.613
17 B 0.632 0.803 0.116
18 B 0.632 0.697 0.616
19 B 0.368 0.197 0.884
20 B 0.368 0.303 0.384
21 B 0.802 0.759 0.354
22 B 0.802 0.741 0.854
23 B 0.198 0.241 0.646
24 B 0.198 0.259 0.146
25 B 0.685 0.931 0.000
26 B 0.685 0.569 0.500
27 B 0.315 0.069 0.000
28 B 0.315 0.431 0.500
29 B 0.455 0.927 0.749
30 B 0.455 0.573 0.249
31 B 0.545 0.073 0.251
32 B 0.545 0.427 0.751
33 H 0.041 0.422 0.211
34 H 0.041 0.078 0.711
35 H 0.959 0.578 0.789
36 H 0.959 0.922 0.289
37 H 0.886 0.034 0.111
38 H 0.886 0.466 0.611
39 H 0.114 0.966 0.889
40 H 0.114 0.534 0.389
41 H 0.233 0.896 0.553
42 H 0.233 0.604 0.053
43 H 0.767 0.104 0.447
44 H 0.767 0.396 0.947
45 H 0.431 0.031 0.638
46 H 0.431 0.469 0.138
47 H 0.569 0.969 0.362
48 H 0.569 0.531 0.862
49 Pb 0.254 0.667 0.625
50 Pb 0.254 0.833 0.125
51 Pb 0.746 0.333 0.375
52 Pb 0.746 0.167 0.875
53 O 0.926 0.447 0.122
54 O 0.926 0.053 0.622
55 O 0.074 0.553 0.878
56 O 0.074 0.947 0.378
57 O 0.735 0.582 0.004
58 O 0.735 0.918 0.504
59 O 0.265 0.418 0.996
60 O 0.265 0.082 0.496
61 O 0.988 0.588 0.243
62 O 0.988 0.912 0.743
63 O 0.012 0.412 0.757
64 O 0.012 0.088 0.257
65 O 0.747 0.718 0.120
66 O 0.747 0.782 0.620
67 O 0.253 0.282 0.880
68 O 0.253 0.218 0.380
69 O 0.943 0.701 0.360
70 O 0.943 0.799 0.860
71 O 0.057 0.299 0.640
72 O 0.057 0.201 0.140
73 O 0.126 0.745 0.274
74 O 0.126 0.755 0.774
75 O 0.874 0.255 0.726
76 O 0.874 0.245 0.226
77 O 0.823 0.732 0.967
78 O 0.823 0.768 0.467
79 O 0.177 0.268 0.033
80 O 0.177 0.232 0.533
81 O 0.465 0.695 0.882
82 O 0.465 0.805 0.382
83 O 0.535 0.305 0.118
84 O 0.535 0.195 0.618
85 O 0.405 0.794 0.005
86 O 0.405 0.706 0.505
87 O 0.595 0.206 0.995
88 O 0.595 0.294 0.495
89 O 0.649 0.806 0.237
90 O 0.649 0.694 0.737
91 O 0.351 0.194 0.763
92 O 0.351 0.306 0.263
93 O 0.724 0.888 0.109
94 O 0.724 0.612 0.609
95 O 0.276 0.112 0.891
96 O 0.276 0.388 0.391
97 O 0.799 0.009 0.018
98 O 0.799 0.491 0.518
99 O 0.201 0.991 0.982
100 O 0.201 0.509 0.482
101 O 0.535 0.895 0.873
102 O 0.535 0.605 0.373
103 O 0.465 0.105 0.127
104 O 0.465 0.395 0.627
105 O 0.305 0.870 0.644
106 O 0.305 0.630 0.144
107 O 0.695 0.130 0.356
108 O 0.695 0.370 0.856
109 O 0.525 0.009 0.733
110 O 0.525 0.491 0.233
111 O 0.475 0.991 0.267
112 O 0.475 0.509 0.767

Properties
- calculated volume (A^3/atom) = 10.415
- space group = No. 14
- total moment (μB/f.u.) = 0.1
- ΔH_f (0 K) (eV per atom) = -2.45

---

No. 5
Material: CaNi2As2
Method: DFT, PBE
State: relaxed

a b c (Å): 5.779 5.779 5.779
angles (deg): 138.60 138.60 59.99
Sites, in units of the cell vectors:
1 Ca 0.000 0.000 0.000
2 Ni 0.750 0.250 0.500
3 Ni 0.250 0.750 0.500
4 As 0.369 0.369 0.000
5 As 0.631 0.631 0.000

Properties
- calculated volume (A^3/atom) = 16.709
- space group = No. 139
- ΔH_f (0 K) (eV per atom) = -0.67

---

No. 6
Material: Er2ThOF10
Method: DFT, PBE
State: relaxed

a b c (Å): 8.434 8.434 8.434
angles (deg): 121.97 121.97 86.62
Sites, in units of the cell vectors:
1 Er 0.241 0.759 0.000
2 Er 0.241 0.241 0.482
3 Er 0.759 0.241 0.000
4 Er 0.759 0.759 0.518
5 Th 0.759 0.759 0.000
6 Th 0.241 0.241 0.000
7 O 0.250 0.750 0.500
8 O 0.750 0.250 0.500
9 F 0.117 0.895 0.222
10 F 0.105 0.326 0.222
11 F 0.105 0.883 0.778
12 F 0.674 0.895 0.778
13 F 0.883 0.105 0.778
14 F 0.895 0.674 0.778
15 F 0.895 0.117 0.222
16 F 0.326 0.105 0.222
17 F 0.184 0.500 0.684
18 F 0.494 0.494 0.665
19 F 0.494 0.829 0.000
20 F 0.500 0.184 0.684
21 F 0.171 0.171 0.665
22 F 0.506 0.171 0.000
23 F 0.500 0.816 0.316
24 F 0.506 0.506 0.335
25 F 0.171 0.506 0.000
26 F 0.816 0.500 0.316
27 F 0.829 0.829 0.335
28 F 0.829 0.494 0.000

Properties
- calculated volume (A^3/atom) = 14.673
- space group = No. 139
- total moment (μB/f.u.) = 2.0
- ΔH_f (0 K) (eV per atom) = -3.97

---

Q: Among the records above, which one has the lowest calculated volume?
A: B8H4PbO15